Here is crystalline Li5Si2NiO8 at its relaxed geometry from the Materials Project database. Energies are from GGA+U.

Calculated values
DFT formation energy in eV per atom: -2.4919
Raw total energy in eV per cell: -97.59
Energy with MP2020 corrections in eV/atom: -6.60

Cell lengths 5.210, 5.210, 6.286 Å; angles 90.18, 90.18, 90.84 degrees
Atoms (fractional coordinates):
Li  0.000  0.000  0.000
Li  0.353  0.647  0.000
Li  0.508  0.116  0.242
Li  0.884  0.492  0.758
Li  0.991  0.009  0.500
Si  0.513  0.133  0.754
Si  0.867  0.487  0.246
Ni  0.363  0.637  0.500
O  0.001  0.617  0.466
O  0.379  0.019  0.965
O  0.383  0.999  0.534
O  0.457  0.454  0.737
O  0.546  0.543  0.263
O  0.822  0.117  0.749
O  0.883  0.178  0.251
O  0.981  0.621  0.035

---

Here is crystalline CoSb2O6 at its relaxed geometry from the Materials Project database. Energies are from GGA+U.

Calculated values
DFT formation energy in eV per atom: -1.8142
Raw total energy in eV per cell: -222.49
Energy with MP2020 corrections in eV/atom: -6.82

Cell lengths 4.726, 10.540, 9.452 Å; angles 63.36, 89.99, 89.99 degrees
Atoms (fractional coordinates):
Co  0.000  0.000  0.500
Co  0.500  0.500  0.000
Co  0.000  0.000  0.000
Co  0.500  0.500  0.500
Sb  0.000  0.668  0.666
Sb  0.000  0.668  0.166
Sb  0.000  0.332  0.334
Sb  0.000  0.332  0.834
Sb  0.500  0.168  0.166
Sb  0.500  0.168  0.666
Sb  0.500  0.832  0.834
Sb  0.500  0.832  0.334
O  0.310  0.000  0.345
O  0.310  0.000  0.845
O  0.690  0.000  0.655
O  0.690  0.000  0.155
O  0.190  0.500  0.845
O  0.190  0.500  0.345
O  0.810  0.500  0.155
O  0.810  0.500  0.655
O  0.303  0.328  0.185
O  0.303  0.328  0.685
O  0.197  0.828  0.685
O  0.198  0.828  0.185
O  0.302  0.672  0.013
O  0.303  0.672  0.513
O  0.198  0.172  0.013
O  0.198  0.172  0.513
O  0.802  0.828  0.987
O  0.802  0.828  0.487
O  0.698  0.328  0.987
O  0.697  0.328  0.487
O  0.697  0.672  0.815
O  0.697  0.672  0.315
O  0.803  0.172  0.315
O  0.802  0.172  0.815

---

Here is crystalline Ca2Mn2O5 at its relaxed geometry from the Materials Project database. Energies are from GGA+U.

Calculated values
DFT formation energy in eV per atom: -2.5691
Raw total energy in eV per cell: -126.85
Energy relative to the lowest polymorph listed for this composition in meV/atom: 7
Energy with MP2020 corrections in eV/atom: -7.80

Cell lengths 8.507, 8.507, 8.507 Å; angles 54.64, 141.66, 142.59 degrees
Atoms (fractional coordinates):
Ca  0.021  0.107  0.128
Ca  0.021  0.393  0.413
Ca  0.979  0.607  0.587
Ca  0.979  0.893  0.872
Mn  0.476  0.786  0.190
Mn  0.492  0.492  0.000
Mn  0.492  0.992  0.500
Mn  0.595  0.286  0.810
O  0.012  0.659  0.852
O  0.421  0.110  0.573
O  0.421  0.348  0.811
O  0.497  0.231  0.240
O  0.497  0.758  0.766
O  0.537  0.610  0.189
O  0.537  0.848  0.427
O  0.807  0.159  0.148
O  0.991  0.258  0.760
O  0.991  0.731  0.234

---

Here is crystalline NiTeO4 at its relaxed geometry from the Materials Project database. Energies are from GGA+U.

Calculated values
DFT formation energy in eV per atom: -1.4115
Raw total energy in eV per cell: -127.58
Energy relative to the lowest polymorph listed for this composition in meV/atom: 0
Energy with MP2020 corrections in eV/atom: -6.20

Cell lengths 4.743, 10.358, 5.629 Å; angles 83.51, 90.00, 90.00 degrees
Atoms (fractional coordinates):
Ni  0.500  0.625  0.125
Ni  0.000  0.125  0.125
Ni  0.500  0.125  0.625
Ni  0.000  0.625  0.625
Te  0.000  0.375  0.375
Te  0.000  0.875  0.875
Te  0.500  0.375  0.875
Te  0.500  0.875  0.375
O  0.823  0.211  0.401
O  0.824  0.711  0.901
O  0.676  0.211  0.901
O  0.677  0.711  0.401
O  0.324  0.039  0.348
O  0.324  0.539  0.848
O  0.176  0.039  0.848
O  0.176  0.539  0.348
O  0.289  0.302  0.614
O  0.289  0.802  0.114
O  0.211  0.302  0.114
O  0.211  0.802  0.614
O  0.790  0.448  0.637
O  0.790  0.948  0.137
O  0.710  0.448  0.137
O  0.710  0.948  0.637

---

Here is crystalline ZrMo2O11 at its relaxed geometry from the Materials Project database. Energies are from GGA+U.

Calculated values
DFT formation energy in eV per atom: -1.5362
Raw total energy in eV per cell: -368.85
Energy with MP2020 corrections in eV/atom: -7.58

Cell lengths 10.529, 10.529, 10.529 Å; angles 110.89, 110.89, 106.67 degrees
Atoms (fractional coordinates):
Zr  0.000  0.000  0.000
Zr  0.250  0.750  0.500
Zr  0.500  0.500  0.000
Zr  0.750  0.250  0.500
Mo  0.183  0.544  0.710
Mo  0.223  0.433  0.139
Mo  0.294  0.084  0.861
Mo  0.334  0.044  0.361
Mo  0.683  0.973  0.639
Mo  0.723  0.584  0.790
Mo  0.794  0.933  0.210
Mo  0.834  0.473  0.290
O  0.003  0.671  0.346
O  0.072  0.572  0.500
O  0.092  0.436  0.987
O  0.125  0.243  0.111
O  0.131  0.014  0.889
O  0.159  0.163  0.717
O  0.173  0.002  0.182
O  0.186  0.699  0.844
O  0.192  0.409  0.496
O  0.241  0.570  0.318
O  0.252  0.923  0.682
O  0.264  0.881  0.389
O  0.320  0.502  0.829
O  0.322  0.322  0.000
O  0.324  0.657  0.654
O  0.355  0.199  0.513
O  0.407  0.253  0.832
O  0.413  0.909  0.217
O  0.421  0.574  0.168
O  0.446  0.442  0.283
O  0.449  0.105  0.013
O  0.493  0.875  0.611
O  0.503  0.157  0.332
O  0.572  0.072  0.500
O  0.592  0.605  0.656
O  0.625  0.514  0.883
O  0.631  0.743  0.117
O  0.659  0.942  0.996
O  0.673  0.491  0.171
O  0.686  0.842  0.487
O  0.692  0.196  0.783
O  0.741  0.423  0.671
O  0.752  0.070  0.329
O  0.764  0.375  0.383
O  0.820  0.991  0.818
O  0.822  0.822  0.000
O  0.824  0.171  0.668
O  0.855  0.342  0.156
O  0.907  0.074  0.154
O  0.913  0.696  0.504
O  0.921  0.753  0.846
O  0.946  0.663  0.004
O  0.949  0.936  0.344
O  0.993  0.381  0.617

---

Here is crystalline Sr5Ca3Mn6Fe2O20 at its relaxed geometry from the Materials Project database. Energies are from GGA+U.

Calculated values
DFT formation energy in eV per atom: -2.4943
Raw total energy in eV per cell: -987.49
Energy with MP2020 corrections in eV/atom: -7.64

Cell lengths 11.044, 11.134, 17.767 Å; angles 108.18, 107.94, 90.01 degrees
Atoms (fractional coordinates):
Sr  0.000  0.000  0.000
Sr  0.000  0.499  0.000
Sr  0.108  0.115  0.716
Sr  0.111  0.617  0.223
Sr  0.250  0.255  0.998
Sr  0.250  0.753  0.998
Sr  0.356  0.856  0.716
Sr  0.361  0.361  0.223
Sr  0.361  0.860  0.222
Sr  0.500  0.499  0.998
Sr  0.500  0.999  0.999
Sr  0.607  0.613  0.715
Sr  0.612  0.116  0.223
Sr  0.612  0.616  0.223
Sr  0.750  0.255  0.998
Sr  0.750  0.755  0.999
Sr  0.857  0.355  0.715
Sr  0.860  0.855  0.716
Sr  0.862  0.360  0.223
Sr  0.862  0.862  0.223
Ca  0.001  0.494  0.506
Ca  0.001  0.995  0.505
Ca  0.107  0.616  0.711
Ca  0.108  0.118  0.217
Ca  0.249  0.766  0.504
Ca  0.251  0.264  0.503
Ca  0.356  0.348  0.710
Ca  0.499  0.492  0.505
Ca  0.500  0.996  0.505
Ca  0.605  0.118  0.711
Ca  0.751  0.766  0.505
Ca  0.752  0.265  0.505
Mn  0.055  0.308  0.112
Mn  0.055  0.809  0.113
Mn  0.162  0.460  0.853
Mn  0.162  0.968  0.365
Mn  0.163  0.460  0.367
Mn  0.163  0.954  0.857
Mn  0.305  0.558  0.110
Mn  0.404  0.646  0.851
Mn  0.406  0.155  0.363
Mn  0.412  0.655  0.368
Mn  0.414  0.156  0.854
Mn  0.554  0.806  0.606
Mn  0.555  0.308  0.110
Mn  0.555  0.807  0.111
Mn  0.655  0.453  0.853
Mn  0.659  0.962  0.853
Mn  0.662  0.967  0.367
Mn  0.663  0.465  0.367
Mn  0.804  0.558  0.111
Mn  0.806  0.058  0.112
Mn  0.906  0.151  0.853
Mn  0.912  0.651  0.855
Mn  0.913  0.655  0.367
Mn  0.916  0.158  0.367
Fe  0.054  0.803  0.604
Fe  0.056  0.306  0.606
Fe  0.305  0.056  0.606
Fe  0.305  0.057  0.111
Fe  0.305  0.555  0.606
Fe  0.553  0.304  0.605
Fe  0.803  0.055  0.605
Fe  0.804  0.555  0.605
O  0.002  0.769  0.475
O  0.004  0.271  0.476
O  0.124  0.848  0.741
O  0.124  0.868  0.252
O  0.126  0.364  0.253
O  0.129  0.352  0.741
O  0.172  0.672  0.595
O  0.175  0.175  0.595
O  0.177  0.182  0.110
O  0.178  0.681  0.108
O  0.180  0.938  0.118
O  0.181  0.435  0.114
O  0.184  0.935  0.613
O  0.186  0.438  0.619
O  0.226  0.628  0.848
O  0.230  0.137  0.362
O  0.239  0.979  0.976
O  0.240  0.479  0.968
O  0.240  0.631  0.371
O  0.241  0.117  0.855
O  0.251  0.462  0.477
O  0.254  0.964  0.474
O  0.375  0.132  0.247
O  0.376  0.636  0.255
O  0.377  0.643  0.739
O  0.381  0.146  0.739
O  0.424  0.176  0.596
O  0.424  0.678  0.594
O  0.428  0.182  0.108
O  0.428  0.682  0.109
O  0.430  0.434  0.114
O  0.430  0.932  0.113
O  0.431  0.431  0.616
O  0.437  0.934  0.615
O  0.476  0.478  0.846
O  0.483  0.741  0.965
O  0.487  0.250  0.970
O  0.488  0.989  0.856
O  0.489  0.995  0.371
O  0.490  0.265  0.473
O  0.491  0.492  0.372
O  0.499  0.769  0.478
O  0.623  0.852  0.738
O  0.625  0.372  0.253
O  0.625  0.874  0.253
O  0.627  0.347  0.739
O  0.671  0.172  0.594
O  0.671  0.676  0.595
O  0.677  0.682  0.108
O  0.678  0.180  0.108
O  0.679  0.936  0.615
O  0.680  0.433  0.114
O  0.680  0.434  0.610
O  0.680  0.934  0.112
O  0.726  0.128  0.847
O  0.730  0.476  0.968
O  0.739  0.615  0.855
O  0.740  0.978  0.966
O  0.741  0.634  0.372
O  0.743  0.134  0.372
O  0.747  0.961  0.476
O  0.750  0.462  0.476
O  0.874  0.137  0.738
O  0.875  0.634  0.252
O  0.876  0.638  0.740
O  0.878  0.134  0.253
O  0.922  0.177  0.594
O  0.922  0.676  0.595
O  0.928  0.683  0.107
O  0.930  0.181  0.110
O  0.931  0.932  0.612
O  0.932  0.433  0.115
O  0.934  0.939  0.117
O  0.936  0.437  0.615
O  0.982  0.247  0.968
O  0.987  0.750  0.969
O  0.987  0.992  0.856
O  0.990  0.487  0.856
O  0.991  0.992  0.372
O  0.992  0.492  0.372

---

Here is crystalline RbMgCrF6 at its relaxed geometry from the Materials Project database. Energies are from GGA+U.

Calculated values
DFT formation energy in eV per atom: -3.2354
Raw total energy in eV per cell: -96.14
Energy with MP2020 corrections in eV/atom: -5.87

Cell lengths 7.350, 7.350, 7.350 Å; angles 120.33, 120.01, 89.71 degrees
Atoms (fractional coordinates):
Rb  0.371  0.121  0.250
Rb  0.629  0.879  0.750
Mg  0.000  0.000  0.500
Mg  0.000  0.500  0.000
Cr  0.000  0.500  0.500
Cr  0.500  0.500  0.000
F  0.070  0.820  0.250
F  0.072  0.432  0.258
F  0.072  0.814  0.640
F  0.318  0.568  0.750
F  0.326  0.186  0.758
F  0.326  0.568  0.140
F  0.674  0.432  0.860
F  0.674  0.814  0.242
F  0.682  0.432  0.250
F  0.928  0.186  0.360
F  0.928  0.568  0.742
F  0.930  0.180  0.750

---

Here is crystalline SrMg6MnO8 at its relaxed geometry from the Materials Project database. Energies are from GGA+U.

Calculated values
DFT formation energy in eV per atom: -2.7261
Raw total energy in eV per cell: -96.49
Energy relative to the lowest polymorph listed for this composition in meV/atom: 26
Energy with MP2020 corrections in eV/atom: -6.48

Cell lengths 4.526, 4.526, 8.795 Å; angles 90.00, 90.00, 90.00 degrees
Atoms (fractional coordinates):
Sr  0.000  0.000  0.000
Mg  0.000  0.500  0.260
Mg  0.000  0.500  0.740
Mg  0.500  0.000  0.260
Mg  0.500  0.000  0.740
Mg  0.500  0.500  0.000
Mg  0.500  0.500  0.500
Mn  0.000  0.000  0.500
O  0.000  0.000  0.267
O  0.000  0.000  0.733
O  0.000  0.500  0.000
O  0.000  0.500  0.500
O  0.500  0.000  0.000
O  0.500  0.000  0.500
O  0.500  0.500  0.252
O  0.500  0.500  0.748

---

What is the DFT formation energy in the second record? -1.8142 eV per atom